Record 1
Material: Ti2VTe4
Method: DFT, r2SCAN
State: optimized geometry

Summary:
E   -147.3 eV for the cell shown
E_form   -0.80 eV per atom
Volume   25.015 Å³/atom
SG   No. 12

a b c (Å): 3.922 6.933 7.523
angles (deg): 116.54 105.11 90.00
Fractional positions:
Ti 0.252 0.296 0.504
Ti 0.748 0.704 0.496
V 0.000 0.000 0.000
Te 0.111 0.452 0.221
Te 0.889 0.548 0.779
Te 0.365 0.028 0.730
Te 0.635 0.972 0.270

***

Record 2
Material: LiCrPHO5
Method: DFT, r2SCAN
State: optimized geometry

Summary:
E   -161.2 eV for the cell shown
E_form   -2.31 eV per atom
Volume   9.406 Å³/atom
SG   No. 2

a b c (Å): 5.299 7.192 5.070
angles (deg): 109.16 97.78 106.53
Fractional positions:
Li 0.394 0.825 0.747
Li 0.606 0.175 0.253
Cr 0.000 0.500 0.000
Cr 0.000 0.000 0.000
P 0.362 0.231 0.677
P 0.638 0.769 0.323
H 0.069 0.347 0.359
H 0.931 0.653 0.641
O 0.046 0.723 0.840
O 0.211 0.387 0.733
O 0.339 0.663 0.311
O 0.244 0.066 0.367
O 0.341 0.118 0.890
O 0.659 0.882 0.110
O 0.756 0.934 0.633
O 0.661 0.337 0.689
O 0.789 0.613 0.267
O 0.954 0.277 0.160

***

Record 3
Material: Y2TlAg
Method: DFT, r2SCAN
State: optimized geometry

Summary:
E   -116.9 eV for the cell shown
E_form   -0.43 eV per atom
Volume   25.516 Å³/atom
SG   No. 225

a b c (Å): 5.246 5.246 5.246
angles (deg): 60.00 60.00 60.00
Fractional positions:
Y 0.000 0.000 0.000
Y 0.500 0.500 0.500
Tl 0.750 0.750 0.750
Ag 0.250 0.250 0.250

***

Record 4
Material: Li3InO3
Method: DFT, r2SCAN
State: optimized geometry

Summary:
E   -246.1 eV for the cell shown
E_form   -1.98 eV per atom
Volume   10.002 Å³/atom
SG   No. 163

a b c (Å): 5.614 5.614 10.262
angles (deg): 90.00 90.00 120.00
Fractional positions:
Li 0.629 0.947 0.931
Li 0.053 0.682 0.931
Li 0.318 0.371 0.931
Li 0.053 0.371 0.569
Li 0.318 0.947 0.569
Li 0.629 0.682 0.569
Li 0.371 0.053 0.069
Li 0.947 0.318 0.069
Li 0.682 0.629 0.069
Li 0.947 0.629 0.431
Li 0.682 0.053 0.431
Li 0.371 0.318 0.431
In 0.667 0.333 0.750
In 0.333 0.667 0.250
In 0.000 0.000 0.750
In 0.000 0.000 0.250
O 0.702 0.040 0.622
O 0.960 0.662 0.622
O 0.338 0.298 0.622
O 0.960 0.298 0.878
O 0.338 0.040 0.878
O 0.702 0.662 0.878
O 0.298 0.960 0.378
O 0.040 0.338 0.378
O 0.662 0.702 0.378
O 0.040 0.702 0.122
O 0.662 0.960 0.122
O 0.298 0.338 0.122

***

Record 5
Material: SnAs
Method: DFT, r2SCAN
State: optimized geometry

Summary:
E   -39.5 eV for the cell shown
E_form   -0.04 eV per atom
Volume   23.810 Å³/atom
SG   No. 225

a b c (Å): 4.069 4.069 4.069
angles (deg): 60.00 60.00 60.00
Fractional positions:
Sn 0.500 0.500 0.500
As 0.000 0.000 0.000

***

Record 6
Material: Na3AlF6
Method: DFT, r2SCAN
State: optimized geometry

Summary:
Energy above the lowest structure with this stoichiometry   0 meV/atom
E   -140.4 eV for the cell shown
E_form   -3.40 eV per atom
Volume   11.374 Å³/atom
SG   No. 14

a b c (Å): 5.339 5.549 7.679
angles (deg): 90.00 90.27 90.00
Fractional positions:
Na 0.017 0.555 0.746
Na 0.483 0.055 0.754
Na 0.983 0.445 0.254
Na 0.517 0.945 0.246
Na 0.500 0.500 0.000
Na 0.000 0.000 0.500
Al 0.500 0.500 0.500
Al 0.000 0.000 0.000
F 0.665 0.230 0.432
F 0.835 0.730 0.068
F 0.335 0.770 0.568
F 0.165 0.270 0.932
F 0.224 0.324 0.548
F 0.276 0.824 0.952
F 0.776 0.676 0.452
F 0.724 0.176 0.048
F 0.109 0.050 0.221
F 0.391 0.550 0.279
F 0.891 0.950 0.779
F 0.609 0.450 0.721

***

Record 7
Material: Y4UPd15
Method: DFT, r2SCAN
State: optimized geometry

Summary:
E   -522.6 eV for the cell shown
E_form   -0.85 eV per atom
Volume   17.292 Å³/atom
SG   No. 123

a b c (Å): 4.110 4.110 20.477
angles (deg): 90.00 90.00 90.00
Fractional positions:
Y 0.000 0.000 0.202
Y 0.000 0.000 0.401
Y 0.000 0.000 0.599
Y 0.000 0.000 0.798
U 0.000 0.000 0.000
Pd 0.500 0.500 0.000
Pd 0.500 0.500 0.200
Pd 0.500 0.500 0.400
Pd 0.500 0.500 0.600
Pd 0.500 0.500 0.800
Pd 0.500 0.000 0.099
Pd 0.500 0.000 0.300
Pd 0.500 0.000 0.500
Pd 0.500 0.000 0.700
Pd 0.500 0.000 0.901
Pd 0.000 0.500 0.099
Pd 0.000 0.500 0.300
Pd 0.000 0.500 0.500
Pd 0.000 0.500 0.700
Pd 0.000 0.500 0.901

***

Record 8
Material: HfBe13
Method: DFT, r2SCAN
State: optimized geometry

Summary:
E   -208.2 eV for the cell shown
E_form   -0.18 eV per atom
Volume   8.825 Å³/atom
SG   No. 226

a b c (Å): 7.044 7.044 7.044
angles (deg): 60.00 60.00 60.00
Fractional positions:
Hf 0.750 0.750 0.750
Hf 0.250 0.250 0.250
Be 0.939 0.294 0.706
Be 0.706 0.061 0.939
Be 0.000 0.000 0.000
Be 0.500 0.500 0.500
Be 0.294 0.939 0.061
Be 0.561 0.439 0.794
Be 0.794 0.206 0.561
Be 0.561 0.794 0.206
Be 0.439 0.206 0.794
Be 0.439 0.794 0.561
Be 0.794 0.439 0.206
Be 0.061 0.294 0.939
Be 0.939 0.061 0.294
Be 0.706 0.294 0.061
Be 0.939 0.706 0.061
Be 0.706 0.939 0.294
Be 0.061 0.939 0.706
Be 0.294 0.061 0.706
Be 0.294 0.706 0.939
Be 0.794 0.561 0.439
Be 0.206 0.794 0.439
Be 0.206 0.561 0.794
Be 0.561 0.206 0.439
Be 0.439 0.561 0.206
Be 0.206 0.439 0.561
Be 0.061 0.706 0.294